VASP calculation (GGA-PBE) on an optimized crystal structure of PbC2O6. Values from VASP.

Calculated values
Calculated formation energy, eV per atom: -1.04
Space group: No. 62
Final energy, eV/cell: -241.1

The structure in Quantum ESPRESSO input format:
```
&SYSTEM
  ibrav = 0, nat = 36, ntyp = 3
/
ATOMIC_SPECIES
Pb 207.20 Pb.upf
C 12.01 C.upf
O 16.00 O.upf
CELL_PARAMETERS angstrom
-3.7807 -5.2303 4.4986
-3.1452 -3.7310 -6.9811
7.2038 -5.4798 -0.3169
ATOMIC_POSITIONS angstrom
Pb -0.2502 -1.9161 1.0012
Pb 0.5281 -12.5250 -3.8006
Pb -1.5833 -8.0169 -0.3337
Pb 1.8611 -6.4242 -2.4657
C -2.1824 -5.1551 1.1203
C 2.4603 -9.2859 -3.9196
C -1.1537 -6.5605 -3.7881
C 3.2132 -8.2444 -4.8154
C 1.4316 -7.8806 0.9888
C -2.9353 -6.1966 2.0161
C 0.6788 -8.9221 1.8846
C -0.4009 -5.5189 -4.6840
O -2.1625 -3.9487 1.5326
O 2.4404 -10.4924 -4.3319
O -0.5284 -7.0014 -2.7682
O 3.7468 -8.6851 -5.8864
O 0.8063 -7.4397 -0.0312
O -3.4689 -5.7560 3.0870
O -0.5001 -9.2470 1.5233
O 0.7780 -5.1941 -4.3226
O -1.6339 -5.5728 0.0648
O 1.9118 -8.8683 -2.8641
O -2.3267 -6.8835 -4.1187
O 3.2313 -7.0429 -4.4341
O 2.6046 -7.5575 1.3193
O -2.9534 -7.3982 1.6348
O 1.2851 -9.3829 2.8893
O -1.0072 -5.0582 -5.6887
O -2.1167 -3.0880 -1.9299
O 2.3946 -11.3531 -0.8694
O -2.3791 -10.0033 -3.3119
O 2.6569 -4.4378 0.5126
O 1.6335 -4.2717 -0.1544
O -1.3556 -10.1694 -2.6449
O -4.4148 -6.7857 -1.2819
O 4.6926 -7.6554 -1.5174
```

VASP calculation (GGA-PBE) on an optimized crystal structure of Sm2Al9Ir3. Values from VASP.

Calculated values
Calculated formation energy, eV per atom: -0.86
Space group: No. 63
Final energy, eV/cell: -163.4

The structure in Quantum ESPRESSO input format:
```
&SYSTEM
  ibrav = 0, nat = 28, ntyp = 3
/
ATOMIC_SPECIES
Sm 150.36 Sm.upf
Al 26.98 Al.upf
Ir 192.22 Ir.upf
CELL_PARAMETERS angstrom
-1.2369 5.7529 4.7883
-3.5743 -0.1003 -6.6908
-7.2285 -4.8285 3.9339
ATOMIC_POSITIONS angstrom
Sm -9.0459 2.0349 3.2330
Sm -2.9939 -1.2108 -1.2017
Sm -9.8058 0.1319 -0.4992
Sm -2.2339 0.6923 2.5305
Al -6.0444 -2.8894 2.7041
Al -5.9954 3.7135 -0.6727
Al -5.3417 -2.7825 0.0255
Al -6.6981 3.6066 2.0059
Al -4.1362 5.3179 0.6116
Al -7.1272 -2.5497 5.2323
Al -7.9035 -4.4938 1.4198
Al -4.9126 3.3739 -3.2010
Al -7.4744 1.6626 -1.8067
Al -4.5653 -0.8385 3.8381
Al -1.9729 1.6461 -0.4376
Al -10.0669 -0.8220 2.4690
Al -7.1817 1.1053 0.8988
Al -4.8581 -0.2811 1.1326
Al -7.7878 -1.7302 0.9234
Al -4.2520 2.5543 1.1080
Al -7.3045 -0.5199 3.2971
Al -4.7353 1.3440 -1.2657
Ir -5.6198 1.4140 2.9807
Ir -6.4200 -0.5899 -0.9493
Ir -2.8058 1.8244 -2.9163
Ir -2.0055 3.8282 1.0137
Ir -3.6142 -2.4142 1.9670
Ir 0.0000 0.0000 0.0000
```

VASP calculation (GGA-PBE) on an optimized crystal structure of Na6CaSi2Sn3P4O24. Values from VASP.

Calculated values
Calculated formation energy, eV per atom: -2.62
Final energy, eV/cell: -523.0

The structure in Quantum ESPRESSO input format:
```
&SYSTEM
  ibrav = 0, nat = 80, ntyp = 6
/
ATOMIC_SPECIES
Na 22.99 Na.upf
Ca 40.08 Ca.upf
Si 28.09 Si.upf
Sn 118.71 Sn.upf
P 30.97 P.upf
O 16.00 O.upf
CELL_PARAMETERS angstrom
2.0891 -15.6418 -0.9881
-0.1460 -0.5483 9.0708
-8.1258 4.2316 0.1793
ATOMIC_POSITIONS angstrom
Na 0.4105 -4.3412 6.5348
Na -2.5115 -10.0426 6.1030
Na 1.5280 -11.8879 1.5053
Na -3.4831 -1.9475 2.0617
Na -5.1086 -4.7805 0.4452
Na -1.0549 -7.2936 7.6494
Na -6.2261 2.7662 5.4746
Na -2.0264 0.8014 3.6081
Na -0.1603 -12.1577 7.5926
Na -6.1453 0.4816 0.7138
Na -1.1318 -4.0627 3.5512
Na -5.1737 -7.6135 4.7552
Ca -0.3101 -1.4556 2.1171
Ca 0.6614 -9.5507 6.1584
Si -4.8404 -7.5626 7.6651
Si -1.3577 -4.5514 0.5635
Si -5.8119 0.5325 3.6238
Si -0.3862 -12.6465 4.6048
Sn -4.4229 0.3117 6.7952
Sn -5.8705 -10.4760 6.1162
Sn -1.7868 -12.2995 1.4684
Sn -3.3054 -7.2350 1.7658
Sn -6.8420 -2.3810 2.0748
Sn -2.9044 -4.7528 6.4978
P -4.0635 -12.9558 7.7393
P -0.0433 -14.5172 -0.5497
P -5.0350 -4.8607 3.6979
P -1.1608 -6.9705 4.4797
P -5.5331 -2.7768 7.9862
P -0.6814 -9.1613 0.4598
P -4.4156 -10.3236 2.9568
P -1.7990 -1.6146 5.4893
O -5.7415 0.2736 5.2564
O -4.4011 -10.4231 4.5289
O -0.3582 -12.4961 2.9452
O -1.8056 -1.5836 3.9628
O -4.6240 -7.2732 0.2269
O -5.3726 -2.3280 0.4875
O -1.4757 -4.9494 7.9746
O -0.8341 -9.6787 8.0041
O -3.7669 -4.5334 4.5620
O -6.2123 -5.2714 4.5310
O -2.4248 -7.1739 3.6133
O 0.0870 -6.6879 3.5887
O -2.6494 -12.0802 -0.4674
O -7.1838 2.8236 0.4896
O -3.5423 0.3728 8.6427
O 1.0585 -14.7830 7.6300
O -5.5457 -1.2569 7.6297
O -4.6628 -8.9696 6.8083
O -0.5430 -10.6319 0.9601
O -1.5680 -3.2103 1.4037
O -4.4282 -8.8037 2.6002
O -5.6343 -0.8745 2.7670
O -1.6605 -3.0852 5.9895
O -0.5965 -11.3054 5.4450
O -4.2184 -3.5166 7.5649
O -6.2542 -6.8375 7.4470
O -1.9894 -8.5422 0.9713
O 0.1204 -5.3084 0.8421
O -3.1009 -11.0633 2.5355
O -7.2257 1.2576 3.4057
O -3.1070 -0.9955 6.0007
O 1.0919 -13.4035 4.8835
O -6.7794 -3.4016 7.4129
O -3.6196 -6.5968 7.0330
O 0.5683 -8.3983 1.0287
O -2.5738 -5.5710 0.9627
O -5.6619 -10.9484 2.3835
O -4.5911 1.4983 2.9916
O -0.5493 -0.8515 6.0581
O -1.6023 -13.6661 5.0041
O -5.9117 1.4677 7.7558
O -4.2971 -11.7166 6.8214
O -0.2028 -13.1880 0.2860
O -1.9958 -0.0493 1.3820
O -4.7942 -6.0791 2.7263
O -5.2687 -3.6215 2.7801
O -1.3203 -5.6412 5.3155
O -1.0243 -8.1444 5.4234
```